The following is a DFT calculation (r2SCAN) of a geometry-optimized CaFe2O4 structure.

```
CaFe2O4
1.0
0.000 4.404 4.404
4.404 0.000 4.404
4.404 4.404 0.000
Ca Fe O
2 4 8
Cartesian
1.101 1.101 1.101
7.707 7.707 7.707
4.404 2.202 2.202
2.202 4.404 2.202
2.202 2.202 4.404
4.404 4.404 4.404
2.358 2.358 2.358
4.247 4.247 2.358
4.247 2.358 4.247
6.449 4.560 4.560
2.358 4.247 4.247
4.560 6.449 4.560
4.560 4.560 6.449
6.449 6.449 6.449
```

Values from the calculation:
For the total energy, the calculation gives -10.58 eV/atom. The value obtained for the formation energy is -2.040 eV/atom. Its offset from the most stable computed form is 70.9 meV/atom.